Entry 1:
# LiMoAsO6 PBE+U relaxed
data_LiMoAsO6
_chemical_formula_sum 'Li4 Mo4 As4 O24'
_cell_length_a 5.0057
_cell_length_b 9.0960
_cell_length_c 9.5726
_cell_angle_alpha 90.00
_cell_angle_beta 90.00
_cell_angle_gamma 90.00
_space_group_name_H-M_alt 'P 1'
_space_group_IT_number 1
loop_
_space_group_symop_operation_xyz
'x,y,z'
loop_
_atom_site_label
_atom_site_type_symbol
_atom_site_fract_x
_atom_site_fract_y
_atom_site_fract_z
O1 O 0.4182 0.3709 0.7502
O2 O 0.7381 0.3446 0.5161
As1 As 0.9000 0.1786 0.5515
O3 O 0.9039 0.4947 0.7554
O4 O 0.7619 0.3446 0.0161
O5 O 0.2971 0.5365 0.5045
Mo1 Mo 0.8901 0.4984 0.1614
O6 O 0.7971 0.0365 0.9955
Li1 Li 0.3965 0.3518 0.3791
Li2 Li 0.1035 0.3518 0.8791
As2 As 0.6000 0.1786 0.0515
O7 O 0.7908 0.6725 0.5239
O8 O 0.7092 0.6725 0.0239
O9 O 0.2619 0.8446 0.4839
O10 O 0.7029 0.0365 0.4955
O11 O 0.4463 0.6718 0.7664
As3 As 0.4000 0.6786 0.9485
O12 O 0.9182 0.8709 0.7498
Mo2 Mo 0.6099 0.4984 0.6614
O13 O 0.2092 0.1725 0.4761
O14 O 0.5818 0.8709 0.2498
O15 O 0.2381 0.8446 0.9839
O16 O 0.4039 0.9947 0.7446
As4 As 0.1000 0.6786 0.4485
O17 O 0.0961 0.9947 0.2446
Mo3 Mo 0.1099 0.9984 0.8386
O18 O 0.2908 0.1725 0.9761
Li3 Li 0.6035 0.8518 0.6209
O19 O 0.9463 0.1718 0.7336
O20 O 0.0818 0.3709 0.2502
Li4 Li 0.8965 0.8518 0.1209
O21 O 0.5537 0.1718 0.2336
O22 O 0.0537 0.6718 0.2664
O23 O 0.2029 0.5365 0.0045
Mo4 Mo 0.3901 0.9984 0.3386
O24 O 0.5961 0.4947 0.2554
# Magnetic moment: 0.00 Bohr magnetons per cell
# Relative energy among the computed polymorphs: 11 meV/atom
# ΔH_f (0 K): -1.93 eV/atom



Entry 2:
# LiMoAsO6 PBE+U relaxed
data_LiMoAsO6
_chemical_formula_sum 'Li4 Mo4 As4 O24'
_cell_length_a 8.7069
_cell_length_b 5.2335
_cell_length_c 10.4987
_cell_angle_alpha 84.81
_cell_angle_beta 90.00
_cell_angle_gamma 90.00
_space_group_name_H-M_alt 'P 1'
_space_group_IT_number 1
loop_
_space_group_symop_operation_xyz
'x,y,z'
loop_
_atom_site_label
_atom_site_type_symbol
_atom_site_fract_x
_atom_site_fract_y
_atom_site_fract_z
O1 O 0.4345 0.3921 0.0689
O2 O 0.6275 0.7728 0.9687
O3 O 0.7461 0.2440 0.5169
Li1 Li 0.9062 0.3110 0.1029
O4 O 0.4460 0.5410 0.3086
As1 As 0.8020 0.8420 0.8938
O5 O 0.6125 0.9572 0.2265
Mo1 Mo 0.5674 0.6770 0.1566
O6 O 0.5677 0.8214 0.5055
O7 O 0.9345 0.6079 0.9311
O8 O 0.2366 0.4987 0.8208
As2 As 0.9256 0.3782 0.5359
O9 O 0.2461 0.7560 0.4831
O10 O 0.0677 0.1786 0.4945
O11 O 0.9286 0.0676 0.2665
O12 O 0.7517 0.8911 0.7324
O13 O 0.3659 0.8713 0.0615
O14 O 0.7366 0.5013 0.1792
As3 As 0.4256 0.6218 0.4641
Li2 Li 0.4062 0.6890 0.8971
O15 O 0.9460 0.4590 0.6914
O16 O 0.8659 0.1287 0.9385
O17 O 0.4286 0.9324 0.7335
Li3 Li 0.7355 0.9656 0.3902
Mo2 Mo 0.5809 0.1178 0.6643
O18 O 0.6058 0.3512 0.7669
Li4 Li 0.2355 0.0344 0.6098
O19 O 0.1125 0.0428 0.7735
O20 O 0.9229 0.6775 0.4494
Mo3 Mo 0.0674 0.3230 0.8434
O21 O 0.1275 0.2272 0.0313
Mo4 Mo 0.0809 0.8822 0.3357
O22 O 0.2517 0.1089 0.2676
As4 As 0.3020 0.1580 0.1062
O23 O 0.1058 0.6488 0.2331
O24 O 0.4229 0.3225 0.5506
# Magnetic moment: 0.00 Bohr magnetons per cell
# Relative energy among the computed polymorphs: 0 meV/atom
# ΔH_f (0 K): -1.94 eV/atom



Entry 3:
# Li4VAs2O9 PBE+U relaxed
data_Li4VAs2O9
_chemical_formula_sum 'Li16 V4 As8 O36'
_cell_length_a 9.0025
_cell_length_b 9.0025
_cell_length_c 9.6568
_cell_angle_alpha 90.00
_cell_angle_beta 90.00
_cell_angle_gamma 90.00
_space_group_name_H-M_alt 'P 1'
_space_group_IT_number 1
loop_
_space_group_symop_operation_xyz
'x,y,z'
loop_
_atom_site_label
_atom_site_type_symbol
_atom_site_fract_x
_atom_site_fract_y
_atom_site_fract_z
As1 As 0.3105 0.6895 0.2500
Li1 Li 0.1295 0.9045 0.0947
O1 O 0.0989 0.8743 0.6069
O2 O 0.8743 0.9011 0.3931
Li2 Li 0.0955 0.8705 0.4053
Li3 Li 0.3705 0.4045 0.4053
O3 O 0.4011 0.6257 0.3931
O4 O 0.3166 0.8813 0.2235
As2 As 0.6895 0.3105 0.2500
O5 O 0.3813 0.8166 0.7235
V1 V 0.5000 0.0000 0.1747
Li4 Li 0.9045 0.8705 0.9053
O6 O 0.5989 0.6257 0.8931
O7 O 0.6187 0.8166 0.2235
O8 O 0.6187 0.1834 0.7235
Li5 Li 0.6295 0.4045 0.9053
O9 O 0.1257 0.0989 0.3931
O10 O 0.3743 0.4011 0.6069
V2 V 0.0000 0.5000 0.8253
Li6 Li 0.4045 0.6295 0.5947
As3 As 0.8105 0.8105 0.2500
As4 As 0.6895 0.6895 0.7500
O11 O 0.1257 0.9011 0.8931
Li7 Li 0.4045 0.3705 0.0947
As5 As 0.1895 0.1895 0.2500
Li8 Li 0.6295 0.5955 0.4053
O12 O 0.6834 0.8813 0.7235
O13 O 0.6257 0.4011 0.1069
O14 O 0.3743 0.5989 0.1069
O15 O 0.8813 0.6834 0.7765
O16 O 0.1187 0.6834 0.2765
As6 As 0.1895 0.8105 0.7500
Li9 Li 0.5955 0.3705 0.5947
O17 O 0.9011 0.1257 0.6069
Li10 Li 0.9045 0.1295 0.4053
Li11 Li 0.5955 0.6295 0.0947
O18 O 0.4011 0.3743 0.8931
O19 O 0.3166 0.1187 0.7235
O20 O 0.0989 0.1257 0.1069
Li12 Li 0.1295 0.0955 0.5947
O21 O 0.8166 0.3813 0.7765
O22 O 0.5989 0.3743 0.3931
O23 O 0.0000 0.5000 0.9945
O24 O 0.8813 0.3166 0.2765
O25 O 0.5000 0.0000 0.5055
O26 O 0.6834 0.1187 0.2235
O27 O 0.3813 0.1834 0.2235
O28 O 0.1834 0.3813 0.2765
O29 O 0.8743 0.0989 0.8931
V3 V 0.0000 0.5000 0.3253
O30 O 0.8166 0.6187 0.2765
As7 As 0.8105 0.1895 0.7500
O31 O 0.5000 0.0000 0.0055
O32 O 0.9011 0.8743 0.1069
As8 As 0.3105 0.3105 0.7500
O33 O 0.1834 0.6187 0.7765
V4 V 0.5000 0.0000 0.6747
Li13 Li 0.0955 0.1295 0.9053
Li14 Li 0.3705 0.5955 0.9053
O34 O 0.6257 0.5989 0.6069
O35 O 0.1187 0.3166 0.7765
Li15 Li 0.8705 0.0955 0.0947
Li16 Li 0.8705 0.9045 0.5947
O36 O 0.0000 0.5000 0.4945
# Magnetic moment: 4.00 Bohr magnetons per cell
# ΔH_f (0 K): -2.18 eV/atom



Entry 4:
# LiVAsO5 PBE+U relaxed
data_LiVAsO5
_chemical_formula_sum 'Li4 V4 As4 O20'
_cell_length_a 6.5879
_cell_length_b 7.5867
_cell_length_c 7.6334
_cell_angle_alpha 90.00
_cell_angle_beta 90.00
_cell_angle_gamma 90.00
_space_group_name_H-M_alt 'P 1'
_space_group_IT_number 1
loop_
_space_group_symop_operation_xyz
'x,y,z'
loop_
_atom_site_label
_atom_site_type_symbol
_atom_site_fract_x
_atom_site_fract_y
_atom_site_fract_z
V1 V 0.7500 0.8314 0.2738
O1 O 0.9544 0.1280 0.7642
Li1 Li 0.0000 0.0000 0.0000
Li2 Li 0.0000 0.5000 0.5000
O2 O 0.7500 0.9352 0.5061
O3 O 0.2500 0.5648 0.0061
O4 O 0.2500 0.8858 0.8280
O5 O 0.9544 0.6280 0.7358
O6 O 0.2500 0.0648 0.4939
O7 O 0.7500 0.6142 0.3280
As1 As 0.7500 0.1250 0.6245
O8 O 0.7500 0.1142 0.1720
O9 O 0.2500 0.6860 0.5027
O10 O 0.4544 0.3720 0.2642
V2 V 0.2500 0.6686 0.7738
As2 As 0.2500 0.3750 0.1245
O11 O 0.7500 0.3140 0.4973
Li3 Li 0.5000 0.0000 0.0000
V3 V 0.2500 0.1686 0.7262
O12 O 0.0456 0.8720 0.2358
O13 O 0.2500 0.3858 0.6720
As3 As 0.7500 0.6250 0.8755
O14 O 0.7500 0.4352 0.9939
O15 O 0.7500 0.8140 0.0027
As4 As 0.2500 0.8750 0.3755
O16 O 0.2500 0.1860 0.9973
O17 O 0.5456 0.6280 0.7358
O18 O 0.0456 0.3720 0.2642
Li4 Li 0.5000 0.5000 0.5000
O19 O 0.5456 0.1280 0.7642
V4 V 0.7500 0.3314 0.2262
O20 O 0.4544 0.8720 0.2358
# ΔH_f (0 K): -2.19 eV/atom



Entry 5:
# MgMnAs2O7 PBE+U relaxed
data_MgMnAs2O7
_chemical_formula_sum 'Mg4 Mn4 As8 O28'
_cell_length_a 8.7861
_cell_length_b 7.4114
_cell_length_c 9.7745
_cell_angle_alpha 65.51
_cell_angle_beta 90.00
_cell_angle_gamma 90.00
_space_group_name_H-M_alt 'P 1'
_space_group_IT_number 1
loop_
_space_group_symop_operation_xyz
'x,y,z'
loop_
_atom_site_label
_atom_site_type_symbol
_atom_site_fract_x
_atom_site_fract_y
_atom_site_fract_z
O1 O 0.3589 0.2470 0.9183
O2 O 0.6005 0.9415 0.3938
As1 As 0.2218 0.4359 0.2509
O3 O 0.4093 0.4723 0.6121
O4 O 0.1079 0.3571 0.7221
As2 As 0.2727 0.0197 0.0428
O5 O 0.4110 0.9597 0.1776
O6 O 0.2340 0.6291 0.3033
O7 O 0.8589 0.7530 0.5817
O8 O 0.0890 0.9597 0.6776
As3 As 0.7218 0.5641 0.2491
O9 O 0.6411 0.7530 0.0817
O10 O 0.2367 0.8608 0.4569
As4 As 0.7782 0.5641 0.7491
O11 O 0.9093 0.5277 0.8879
O12 O 0.1005 0.0585 0.1062
Mg1 Mg 0.5769 0.2754 0.6043
Mg2 Mg 0.9231 0.2754 0.1043
Mg3 Mg 0.4231 0.7246 0.3957
O13 O 0.3921 0.3571 0.2221
As5 As 0.2782 0.4359 0.7509
O14 O 0.7633 0.1392 0.5431
O15 O 0.1411 0.2470 0.4183
As6 As 0.2273 0.0197 0.5428
O16 O 0.7660 0.3709 0.6967
O17 O 0.5907 0.5277 0.3879
O18 O 0.2660 0.6291 0.8033
Mn1 Mn 0.0528 0.8103 0.3236
Mn2 Mn 0.4472 0.8103 0.8236
Mg4 Mg 0.0769 0.7246 0.8957
O19 O 0.9110 0.0403 0.3224
O20 O 0.5890 0.0403 0.8224
Mn3 Mn 0.9472 0.1897 0.6764
O21 O 0.7340 0.3709 0.1967
O22 O 0.8995 0.9415 0.8938
O23 O 0.8921 0.6429 0.2779
As7 As 0.7727 0.9803 0.4572
O24 O 0.7367 0.1392 0.0431
As8 As 0.7273 0.9803 0.9572
O25 O 0.3995 0.0585 0.6062
O26 O 0.2633 0.8608 0.9569
O27 O 0.6079 0.6429 0.7779
Mn4 Mn 0.5528 0.1897 0.1764
O28 O 0.0907 0.4723 0.1121
# Magnetic moment: 20.00 Bohr magnetons per cell
# ΔH_f (0 K): -2.09 eV/atom



ΔH_f (0 K) of number 2 (LiMoAsO6)?
-1.94 eV/atom